No. 1
A relaxed Nb2Zn2FeO8 crystal, computed with PBE+U.

```
data_Nb2Zn2FeO8
_cell_length_a 19.521
_cell_length_b 5.977
_cell_length_c 5.302
_cell_angle_alpha 90.00
_cell_angle_beta 90.75
_cell_angle_gamma 90.00
_symmetry_space_group_name_H-M 'C 1 2/c 1'
_symmetry_Int_Tables_number 15
loop_
_symmetry_equiv_pos_as_xyz
'x,y,z'
'-x,-y,-z'
'-x,y,-z+1/2'
'x,-y,z+1/2'
'x+1/2,y+1/2,z'
'-x+1/2,-y+1/2,-z'
'-x+1/2,y+1/2,-z+1/2'
'x+1/2,-y+1/2,z+1/2'
loop_
_atom_site_label
_atom_site_type_symbol
_atom_site_fract_x
_atom_site_fract_y
_atom_site_fract_z
Nb1 Nb 0.115 0.161 0.262
Zn1 Zn 0.220 0.347 0.769
Fe1 Fe 0.000 0.348 0.750
O1 O 0.059 0.374 0.405
O2 O 0.070 0.116 0.923
O3 O 0.179 0.104 0.562
O4 O 0.194 0.354 0.132
```



No. 2
A relaxed Cs2FeF5 crystal, computed with PBE+U.

```
data_Cs2FeF5
_cell_length_a 8.024
_cell_length_b 6.094
_cell_length_c 12.864
_cell_angle_alpha 90.00
_cell_angle_beta 90.00
_cell_angle_gamma 90.00
_symmetry_space_group_name_H-M 'P n m a'
_symmetry_Int_Tables_number 62
loop_
_symmetry_equiv_pos_as_xyz
'x,y,z'
'-x,-y,-z'
'-x+1/2,-y,z+1/2'
'x+1/2,y,-z+1/2'
'x+1/2,-y+1/2,-z+1/2'
'-x+1/2,y+1/2,z+1/2'
'-x,y+1/2,-z'
'x,-y+1/2,z'
loop_
_atom_site_label
_atom_site_type_symbol
_atom_site_fract_x
_atom_site_fract_y
_atom_site_fract_z
Cs1 Cs 0.008 0.250 0.226
Cs2 Cs 0.150 0.750 0.416
Fe1 Fe 0.154 0.750 0.061
F1 F 0.000 0.000 0.000
F2 F 0.014 0.750 0.182
F3 F 0.204 0.022 0.616
F4 F 0.226 0.250 0.429
```



| no. | calculated formation energy (eV per atom) |
| --- | --- |
| 1 | -2.43 |
| 2 | -2.89 |